Entry 1:
This record from the Materials Project database describes a relaxed HoCo5Si3 crystal. The functional is meta-GGA r2SCAN.

Geometry as POSCAR:
```
HoCo5Si3
1.0
0.6883 -3.4642 -0.9896
13.8141 1.5095 4.3232
-10.0904 -4.6851 9.3825
Si Co Ho
18 30 6
direct
0.7500 0.1287 0.8818
0.2500 0.6819 0.2394
0.7500 0.2394 0.5575
0.2500 0.3699 0.4326
0.7500 0.7531 0.8713
0.2500 0.2469 0.1287
0.2500 0.8818 0.7531
0.7500 0.9373 0.3699
0.2500 0.8713 0.1182
0.2500 0.7606 0.4425
0.7500 0.4326 0.0627
0.2500 0.0627 0.6301
0.7500 0.1182 0.2469
0.7500 0.6301 0.5674
0.2500 0.5575 0.3181
0.7500 0.4425 0.6819
0.7500 0.3181 0.7606
0.2500 0.5674 0.9373
0.2500 0.3476 0.5728
0.7500 0.5728 0.2251
0.2500 0.2194 0.2680
0.7500 0.7806 0.7320
0.7500 0.5865 0.8525
0.7500 0.1255 0.0959
0.7500 0.9514 0.2194
0.7500 0.4663 0.9256
0.2500 0.5337 0.0744
0.7500 0.1475 0.7340
0.7500 0.0744 0.5406
0.2500 0.9256 0.4594
0.2500 0.4135 0.1475
0.2500 0.0959 0.9704
0.2500 0.4272 0.7749
0.7500 0.6523 0.4272
0.7500 0.2660 0.4135
0.2500 0.8745 0.9041
0.7500 0.4594 0.5337
0.7500 0.2680 0.0486
0.2500 0.5406 0.4663
0.7500 0.9704 0.8745
0.2500 0.0486 0.7806
0.7500 0.9041 0.0296
0.2500 0.7340 0.5865
0.2500 0.2251 0.6523
0.7500 0.7749 0.3477
0.2500 0.7320 0.9514
0.2500 0.8525 0.2660
0.2500 0.0296 0.1255
0.2500 0.1011 0.3941
0.7500 0.7070 0.1011
0.2500 0.2930 0.8989
0.7500 0.8989 0.6059
0.2500 0.6059 0.7070
0.7500 0.3941 0.2930
```

Properties
- E_form (eV/f.u.) = -4.6
- VASP energy (eV per atom) = -14.444

---

Entry 2:
This record from the Materials Project database describes a relaxed HoCoSn crystal. The functional is meta-GGA r2SCAN.

Geometry as POSCAR:
```
HoCoSn
1.0
4.5762 0.0000 0.0000
0.0000 7.2981 0.0002
0.0000 0.0002 7.4262
Sn Ho Co
4 4 4
direct
0.2500 0.2902 0.8970
0.2500 0.7902 0.6030
0.7500 0.7098 0.1030
0.7500 0.2098 0.3970
0.7500 0.0233 0.7872
0.2500 0.4766 0.2872
0.7500 0.5234 0.7128
0.2500 0.9767 0.2128
0.7500 0.3430 0.0658
0.7500 0.8430 0.4342
0.2500 0.6570 0.9342
0.2500 0.1570 0.5658
```

Properties
- E_form (eV/f.u.) = -1.5
- VASP energy (eV per atom) = -24.132

---

Entry 3:
This record from the Materials Project database describes a relaxed Ho6CoTe2 crystal. The functional is meta-GGA r2SCAN.

Geometry as POSCAR:
```
Ho6CoTe2
1.0
4.1357 -7.1633 0.0000
4.1357 7.1633 0.0000
0.0000 0.0000 3.9367
Te Ho Co
2 6 1
direct
0.6667 0.3333 0.0000
0.3333 0.6667 0.0000
0.2343 0.0000 0.0000
0.3984 0.3984 0.5000
0.0000 0.6016 0.5000
0.7657 0.7657 0.0000
0.6016 0.0000 0.5000
0.0000 0.2343 0.0000
0.0000 0.0000 0.5000
```

Properties
- E_form (eV/f.u.) = -6.5
- VASP energy (eV per atom) = -29.760

---

Entry 4:
This record from the Materials Project database describes a relaxed HoZrCo4 crystal. The functional is meta-GGA r2SCAN.

Geometry as POSCAR:
```
HoZrCo4
1.0
0.8182 -3.9325 2.9140
-1.2943 0.1478 4.7884
-3.8182 -2.7226 1.6234
Co Ho Zr
4 1 1
direct
0.6251 0.6251 0.6251
0.6251 0.6251 0.1247
0.6251 0.1247 0.6251
0.1247 0.6251 0.6251
0.2500 0.2500 0.2500
0.0000 0.0000 0.0000
```

Properties
- E_form (eV/f.u.) = -1.0
- VASP energy (eV per atom) = -18.264

---

Entry 5:
This record from the Materials Project database describes a relaxed CoI2 crystal. The functional is meta-GGA r2SCAN.

Geometry as POSCAR:
```
CoI2
1.0
-1.0452 3.3330 1.7160
-1.9145 -3.2899 0.8107
4.2219 -1.2331 4.9664
I Co
2 1
direct
0.3333 0.6667 0.2228
0.6667 0.3333 0.7772
0.0000 0.0000 0.0000
```

Properties
- E_form (eV/f.u.) = -0.4
- VASP energy (eV per atom) = -20.906

---

Entry 6:
This record from the Materials Project database describes a relaxed K2CoI4 crystal. The functional is meta-GGA r2SCAN.

Geometry as POSCAR:
```
K2CoI4
1.0
-1.3280 -1.6405 -7.8540
-1.0239 -7.5282 1.7456
-9.4000 -1.4345 1.8890
I K Co
8 4 2
direct
0.7500 0.4160 0.8716
0.2500 0.5840 0.1284
0.4999 0.0009 0.7607
0.0001 0.0009 0.7607
0.2500 0.6036 0.5729
0.5001 0.9991 0.2393
0.9999 0.9991 0.2393
0.7500 0.3964 0.4271
0.7500 0.7349 0.0689
0.2500 0.2174 0.4493
0.2500 0.2651 0.9311
0.7500 0.7826 0.5507
0.2500 0.7825 0.2984
0.7500 0.2175 0.7016
```

Properties
- E_form (eV/f.u.) = -7.8
- VASP energy (eV per atom) = -18.756

---

Entry 7:
This record from the Materials Project database describes a relaxed Nd2Co2I crystal. The functional is meta-GGA r2SCAN.

Geometry as POSCAR:
```
Nd2Co2I
1.0
2.0270 -3.5109 0.0000
2.0270 3.5109 0.0000
0.0000 0.0000 17.6242
I Nd Co
2 4 4
direct
0.6667 0.3333 0.7500
0.3333 0.6667 0.2500
0.0000 0.0000 0.1062
0.0000 0.0000 0.6062
0.0000 0.0000 0.3938
0.0000 0.0000 0.8938
0.3333 0.6667 0.9973
0.6667 0.3333 0.4973
0.6667 0.3333 0.0027
0.3333 0.6667 0.5027
```

Properties
- E_form (eV/f.u.) = -3.0
- VASP energy (eV per atom) = -22.570

---

Entry 8:
This record from the Materials Project database describes a relaxed CoI2O6 crystal. The functional is meta-GGA r2SCAN.

Geometry as POSCAR:
```
CoI2O6
1.0
2.7796 -0.6369 4.1309
-9.0152 -2.4165 5.6930
-3.3250 -10.3588 0.6404
Co O I
4 24 8
direct
0.5662 0.4933 0.5104
0.5661 0.9933 0.0104
0.0661 0.0069 0.4893
0.0662 0.5069 0.9893
0.7877 0.4597 0.3709
0.3333 0.3190 0.5543
0.8517 0.4598 0.8577
0.2922 0.3271 0.0271
0.3333 0.8190 0.0543
0.7822 0.3441 0.6833
0.7821 0.8441 0.1833
0.7920 0.6731 0.4727
0.8517 0.9598 0.3577
0.3462 0.1147 0.8308
0.8332 0.1812 0.4454
0.8462 0.3855 0.1689
0.7920 0.1731 0.9727
0.2921 0.8271 0.5270
0.8462 0.8855 0.6689
0.7877 0.9596 0.8709
0.2878 0.0406 0.6289
0.3515 0.0404 0.1420
0.8332 0.6812 0.9454
0.3516 0.5404 0.6420
0.2820 0.1561 0.3165
0.3462 0.6147 0.3308
0.2877 0.5406 0.1289
0.2820 0.6561 0.8164
0.9832 0.8172 0.3344
0.4831 0.1829 0.1655
0.5048 0.1530 0.6648
0.0047 0.3472 0.3350
0.4831 0.6830 0.6654
0.9832 0.3172 0.8344
0.0048 0.8472 0.8350
0.5048 0.6530 0.1648
```

Properties
- E_form (eV/f.u.) = -5.1
- VASP energy (eV per atom) = -11.481

---

Entry 9:
This record from the Materials Project database describes a relaxed Pr7CoI12 crystal. The functional is meta-GGA r2SCAN.

Geometry as POSCAR:
```
Pr7CoI12
1.0
-2.5220 2.7648 9.2621
-7.7226 -5.0265 -3.8583
7.6749 -6.3525 0.7302
Pr I Co
7 12 1
direct
0.5000 0.5000 0.5000
0.3045 0.0317 0.1026
0.0317 0.1026 0.3045
0.6955 0.9683 0.8974
0.8974 0.6955 0.9683
0.1026 0.3045 0.0317
0.9683 0.8974 0.6955
0.3173 0.9252 0.7718
0.4744 0.3915 0.1533
0.1533 0.4744 0.3915
0.8467 0.5256 0.6085
0.2282 0.6827 0.0748
0.5256 0.6085 0.8467
0.9252 0.7718 0.3173
0.7718 0.3173 0.9252
0.0748 0.2282 0.6827
0.6827 0.0748 0.2282
0.3915 0.1533 0.4744
0.6085 0.8467 0.5256
0.0000 0.0000 0.0000
```

Properties
- E_form (eV/f.u.) = -28.9
- VASP energy (eV per atom) = -27.131

---

Entry 10:
This record from the Materials Project database describes a relaxed Tl2CoI4 crystal. The functional is meta-GGA r2SCAN.

Geometry as POSCAR:
```
Tl2CoI4
1.0
-7.8897 0.1924 -1.3890
0.2967 -7.2697 -2.6918
-1.4368 -5.9991 7.3302
I Co Tl
8 2 4
direct
0.2500 0.6020 0.5724
0.5019 0.0020 0.2330
0.7500 0.4178 0.8741
0.7500 0.3980 0.4276
0.9981 0.0020 0.2330
0.4981 0.9980 0.7670
0.2500 0.5822 0.1259
0.0019 0.9980 0.7670
0.7500 0.2169 0.7047
0.2500 0.7831 0.2953
0.2500 0.2236 0.4475
0.7500 0.7415 0.0694
0.2500 0.2585 0.9306
0.7500 0.7764 0.5525
```

Properties
- E_form (eV/f.u.) = -4.0
- VASP energy (eV per atom) = -31.689

---

Entry 11:
This record from the Materials Project database describes a relaxed Y6CoI10 crystal. The functional is meta-GGA r2SCAN.

Geometry as POSCAR:
```
Y6CoI10
1.0
-3.7079 4.7953 -4.6889
-6.8811 -5.1779 4.1034
2.8729 6.6142 6.4296
I Co Y
10 1 6
direct
0.6480 0.5455 0.7266
0.9136 0.6270 0.1806
0.5482 0.1893 0.9085
0.7368 0.9095 0.5350
0.7822 0.2611 0.3492
0.3520 0.4545 0.2734
0.0864 0.3730 0.8194
0.4518 0.8107 0.0915
0.2178 0.7389 0.6508
0.2632 0.0905 0.4650
0.0000 0.0000 0.0000
0.6533 0.8768 0.8354
0.1136 0.0418 0.7600
0.3467 0.1232 0.1646
0.0313 0.7296 0.9205
0.9687 0.2704 0.0795
0.8864 0.9582 0.2400
```

Properties
- E_form (eV/f.u.) = -23.6
- VASP energy (eV per atom) = -23.785

---

Entry 12:
This record from the Materials Project database describes a relaxed In3Co crystal. The functional is meta-GGA r2SCAN.

Geometry as POSCAR:
```
In3Co
1.0
-5.4228 -2.0717 3.5698
3.9167 -4.4443 3.3689
1.3541 4.9146 4.9091
In Co
12 4
direct
0.8460 0.8460 0.7426
0.0000 0.5000 0.5000
0.5000 0.0000 0.5000
0.3460 0.6540 0.7575
0.6540 0.3460 0.2425
0.0000 0.5000 0.0000
0.5000 0.0000 0.0000
0.8460 0.8460 0.2574
0.6540 0.3460 0.7575
0.3460 0.6540 0.2425
0.1540 0.1540 0.2574
0.1540 0.1540 0.7426
0.8474 0.1526 0.5000
0.6525 0.6525 0.0000
0.3475 0.3475 0.0000
0.1526 0.8474 0.5000
```

Properties
- E_form (eV/f.u.) = -0.1
- VASP energy (eV per atom) = -20.259

---

Entry 13:
This record from the Materials Project database describes a relaxed In2Co crystal. The functional is meta-GGA r2SCAN.

Geometry as POSCAR:
```
In2Co
1.0
4.9523 -0.0002 1.4611
2.4760 4.7470 0.7305
-0.0438 -0.0001 9.2168
In Co
8 4
direct
0.5330 0.7502 0.9331
0.7168 0.7502 0.5668
0.2817 0.4367 0.7499
0.0315 0.9370 0.2502
0.4670 0.2498 0.0669
0.7183 0.5633 0.2501
0.2832 0.2498 0.4332
0.9685 0.0630 0.7498
0.9963 0.7496 0.0077
0.2540 0.7496 0.4923
0.0037 0.2504 0.9923
0.7460 0.2504 0.5077
```

Properties
- E_form (eV/f.u.) = 0.2
- VASP energy (eV per atom) = -19.388

---

Entry 14:
This record from the Materials Project database describes a relaxed KIn9Co2 crystal. The functional is meta-GGA r2SCAN.

Geometry as POSCAR:
```
KIn9Co2
1.0
8.7601 0.0000 0.0000
-4.3801 7.5865 0.0000
0.0000 0.0000 4.2383
In K Co
9 1 2
direct
0.5000 0.0000 0.0000
0.5802 0.7901 0.5000
0.2099 0.7901 0.5000
0.4198 0.2099 0.5000
0.2099 0.4198 0.5000
0.7901 0.5802 0.5000
0.7901 0.2099 0.5000
0.5000 0.5000 0.0000
0.0000 0.5000 0.0000
0.0000 0.0000 0.0000
0.6667 0.3333 0.0000
0.3333 0.6667 0.0000
```

Properties
- E_form (eV/f.u.) = -1.4
- VASP energy (eV per atom) = -19.754

---

Entry 15:
This record from the Materials Project database describes a relaxed Lu6InCo2 crystal. The functional is meta-GGA r2SCAN.

Geometry as POSCAR:
```
Lu6InCo2
1.0
1.2796 -5.7791 5.6097
2.3892 7.0819 3.2623
-7.8874 0.2179 -2.0605
Lu Co In
12 4 2
direct
0.8125 0.7102 0.5227
0.3160 0.0162 0.7002
0.4462 0.2308 0.2154
0.3161 0.6159 0.2998
0.6839 0.9838 0.2998
0.9847 0.7692 0.2154
0.5538 0.7692 0.7846
0.0153 0.2308 0.7846
0.1875 0.7102 0.8977
0.8125 0.2898 0.1023
0.1875 0.2898 0.4773
0.6840 0.3841 0.7002
0.6196 0.0000 0.6196
0.3804 0.0000 0.3804
0.1126 0.6126 0.5000
0.8874 0.3874 0.5000
0.0000 0.0000 0.0000
0.5000 0.5000 0.0000
```

Properties
- E_form (eV/f.u.) = -2.7
- VASP energy (eV per atom) = -31.139

---

Entry 16:
This record from the Materials Project database describes a relaxed InCo3N crystal. The functional is meta-GGA r2SCAN.

Geometry as POSCAR:
```
InCo3N
1.0
-0.3020 -0.8879 -3.7104
2.1271 -3.1290 0.5757
-3.1672 -2.0168 0.7404
Co N In
3 1 1
direct
0.0000 0.5000 0.5000
0.5000 0.0000 0.5000
0.5000 0.5000 0.0000
0.5000 0.5000 0.5000
0.0000 0.0000 0.0000
```

Properties
- E_form (eV/f.u.) = -0.1
- VASP energy (eV per atom) = -14.307

---

Entry 17:
This record from the Materials Project database describes a relaxed Nd12InCo6 crystal. The functional is meta-GGA r2SCAN.

Geometry as POSCAR:
```
Nd12InCo6
1.0
7.2857 1.6306 4.4359
-6.6889 3.9738 3.8581
-1.4289 -8.5642 -0.1722
Nd Co In
12 6 1
direct
0.6953 0.8866 0.1913
0.4960 0.1913 0.3047
0.1134 0.8087 0.3047
0.1913 0.3047 0.4960
0.6953 0.5040 0.8087
0.8866 0.1913 0.6953
0.3047 0.1134 0.8087
0.1913 0.6953 0.8866
0.3047 0.4960 0.1913
0.8087 0.6953 0.5040
0.8087 0.3047 0.1134
0.5040 0.8087 0.6953
0.3909 0.5000 0.8909
0.6091 0.5000 0.1091
0.8909 0.3909 0.5000
0.5000 0.1091 0.6091
0.5000 0.8909 0.3909
0.1091 0.6091 0.5000
0.0000 0.0000 0.0000
```

Properties
- E_form (eV/f.u.) = -1.4
- VASP energy (eV per atom) = -24.023

---

Entry 18:
This record from the Materials Project database describes a relaxed In2Co3S2 crystal. The functional is meta-GGA r2SCAN.

Geometry as POSCAR:
```
In2Co3S2
1.0
4.6398 0.0158 2.9382
1.6251 4.3460 2.9384
0.0225 0.0158 5.4918
Co S In
3 2 2
direct
0.0000 0.0000 0.5000
0.0000 0.5000 0.0000
0.5000 0.0000 0.0000
0.7223 0.7223 0.7223
0.2777 0.2777 0.2777
0.5000 0.5000 0.5000
0.0000 0.0000 0.0000
```

Properties
- E_form (eV/f.u.) = -2.3
- VASP energy (eV per atom) = -14.740